1.
First-principles (GGA-PBE) data for an optimized crystal structure of SrPr2O4, as listed in the Materials Project database.

a = 10.424 Å, b = 3.617 Å, c = 12.470 Å
α = 90.00°, β = 90.00°, γ = 90.00°
Element x y z (fractional)
Sr: 0.248 0.250 0.146
Sr: 0.252 0.750 0.646
Sr: 0.748 0.250 0.354
Sr: 0.752 0.750 0.854
Pr: 0.071 0.250 0.884
Pr: 0.088 0.250 0.390
Pr: 0.412 0.750 0.890
Pr: 0.429 0.750 0.384
Pr: 0.571 0.250 0.616
Pr: 0.588 0.250 0.110
Pr: 0.912 0.750 0.610
Pr: 0.929 0.750 0.116
O: 0.004 0.250 0.213
O: 0.071 0.250 0.583
O: 0.137 0.750 0.016
O: 0.218 0.750 0.313
O: 0.282 0.250 0.813
O: 0.363 0.250 0.516
O: 0.429 0.750 0.083
O: 0.496 0.750 0.713
O: 0.504 0.250 0.287
O: 0.571 0.250 0.917
O: 0.637 0.750 0.484
O: 0.718 0.750 0.187
O: 0.782 0.250 0.687
O: 0.863 0.250 0.984
O: 0.929 0.750 0.417
O: 0.996 0.750 0.787

ΔH_f (0 K) = -2364 kJ/mol of formula units
Total magnetization = 0.00 μB/f.u.

---

2.
First-principles (GGA-PBE) data for an optimized crystal structure of RbNp3, as listed in the Materials Project database.

a = 4.986 Å, b = 4.986 Å, c = 4.986 Å
α = 90.00°, β = 90.00°, γ = 90.00°
Element x y z (fractional)
Rb: 0.000 0.000 0.000
Np: 0.000 0.500 0.500
Np: 0.500 0.000 0.500
Np: 0.500 0.500 0.000

ΔH_f (0 K) = 629 kJ/mol of formula units
Polymorph energy (0 for the lowest one) = 4.2 meV per atom
Total magnetization = 14.79 μB/f.u.

---

Please write out number 2 again, unchanged.
First-principles (GGA-PBE) data for an optimized crystal structure of RbNp3, as listed in the Materials Project database.

a = 4.986 Å, b = 4.986 Å, c = 4.986 Å
α = 90.00°, β = 90.00°, γ = 90.00°
Element x y z (fractional)
Rb: 0.000 0.000 0.000
Np: 0.000 0.500 0.500
Np: 0.500 0.000 0.500
Np: 0.500 0.500 0.000

ΔH_f (0 K) = 629 kJ/mol of formula units
Polymorph energy (0 for the lowest one) = 4.2 meV per atom
Total magnetization = 14.79 μB/f.u.

---

Number 2 is which compound? RbNp3

---

Among the records above, which one has the lowest total magnetization? SrPr2O4